Below is a geometry-optimized Li3V3P8O29 structure, with properties calculated at the PBE+U level.

POSCAR file:
```
Li3V3P8O29
1.0
9.755 0.000 0.000
4.870 8.462 0.000
0.197 -0.042 14.325
Li V P O
6 6 16 58
direct
0.000 0.000 0.000
0.028 0.127 0.491
0.396 0.442 0.116
0.479 0.127 0.999
0.623 0.287 0.543
0.930 0.892 0.603
0.137 0.220 0.302
0.141 0.777 0.804
0.269 0.219 0.795
0.277 0.652 0.308
0.701 0.779 0.305
0.707 0.649 0.805
0.020 0.126 0.709
0.026 0.986 0.213
0.036 0.553 0.686
0.043 0.552 0.186
0.367 0.888 0.424
0.368 0.888 0.919
0.384 0.443 0.897
0.396 0.300 0.393
0.479 0.123 0.214
0.485 0.523 0.718
0.624 0.524 0.209
0.626 0.989 0.713
0.784 0.437 0.395
0.789 0.903 0.896
0.929 0.899 0.391
0.931 0.303 0.889
0.031 0.706 0.728
0.034 0.563 0.582
0.042 0.543 0.083
0.046 0.955 0.719
0.049 0.132 0.225
0.052 0.398 0.235
0.085 0.310 0.869
0.087 0.741 0.377
0.179 0.123 0.725
0.185 0.835 0.234
0.189 0.404 0.726
0.192 0.554 0.223
0.213 0.033 0.384
0.222 0.880 0.875
0.223 0.595 0.873
0.242 0.293 0.384
0.323 0.681 0.729
0.325 0.116 0.234
0.356 0.476 0.382
0.360 0.891 0.022
0.362 0.883 0.527
0.364 0.295 0.888
0.365 0.038 0.877
0.372 0.735 0.378
0.444 0.454 0.989
0.450 0.555 0.218
0.451 0.126 0.720
0.466 0.209 0.124
0.494 0.430 0.635
0.495 0.226 0.476
0.497 0.220 0.298
0.502 0.427 0.813
0.514 0.888 0.377
0.518 0.743 0.874
0.615 0.686 0.232
0.620 0.562 0.724
0.622 0.955 0.220
0.629 0.830 0.725
0.699 0.988 0.981
0.704 0.448 0.122
0.707 0.010 0.805
0.707 0.413 0.478
0.709 0.417 0.300
0.710 0.004 0.630
0.778 0.599 0.384
0.789 0.474 0.886
0.789 0.870 0.388
0.796 0.743 0.878
0.891 0.690 0.235
0.894 0.546 0.732
0.907 0.224 0.794
0.910 0.006 0.301
0.933 0.983 0.478
0.939 0.210 0.971
0.949 0.193 0.617
0.955 0.981 0.124
0.961 0.877 0.893
0.962 0.302 0.390
```

Its formation energy is -10466 kJ/mol of formula units. The value obtained for the total energy is -303.23 eV/f.u.